# CeSiGeRh2

A geometry-optimized CeSiGeRh2 structure (PBE-GGA, Materials Project).

The value obtained for the total magnetic moment is 0.66 μB per cell.

a = 5.9240 Å, b = 5.9240 Å, c = 5.9240 Å
α = 139.15°, β = 139.15°, γ = 59.15°
Closest atoms and distances in Å follow each position.
Sites, in units of the cell vectors:
1 Ce 0.9987 0.9987 0.0000  4 Ge 3.17, 4 Si 3.20, 8 Rh 3.25-3.35
2 Si 0.3725 0.3725 0.0000  4 Rh 2.40, 1 Ge 2.53
3 Ge 0.6185 0.6185 0.0000  4 Rh 2.50, 1 Si 2.53
4 Rh 0.7551 0.2551 0.5000  2 Si 2.40, 2 Ge 2.50
5 Rh 0.2551 0.7551 0.5000  2 Si 2.40, 2 Ge 2.50

=====

# HgSNCl

A geometry-optimized HgSNCl structure (PBE-GGA, Materials Project).

The value obtained for the total magnetic moment is 0.05 μB per cell. The value obtained for the corrected total energy (MP2020 scheme) is -3.40 eV per atom.

a = 6.7022 Å, b = 6.3551 Å, c = 12.4233 Å
α = 90.00°, β = 90.00°, γ = 90.00°
Closest atoms and distances in Å follow each position.
Sites, in units of the cell vectors:
1 Hg 0.6164 0.7500 0.8772  1 Cl 2.51, 1 S 2.63
2 Hg 0.1164 0.7500 0.6228  1 Cl 2.51, 1 S 2.63
3 Hg 0.3836 0.2500 0.1228  1 Cl 2.51, 1 S 2.63
4 Hg 0.8836 0.2500 0.3772  1 Cl 2.51, 1 S 2.63
5 S 0.6773 0.7500 0.0864  1 N 1.49
6 S 0.1773 0.7500 0.4136  1 N 1.49
7 S 0.3227 0.2500 0.9136  1 N 1.49
8 S 0.8227 0.2500 0.5864  1 N 1.49
9 N 0.8927 0.7500 0.1146  1 S 1.49
10 N 0.3927 0.7500 0.3854  1 S 1.49
11 N 0.1073 0.2500 0.8854  1 S 1.49
12 N 0.6073 0.2500 0.6146  1 S 1.49
13 Cl 0.5428 0.7500 0.6794  1 Hg 2.51
14 Cl 0.0428 0.7500 0.8206  1 Hg 2.51
15 Cl 0.4572 0.2500 0.3206  1 Hg 2.51
16 Cl 0.9572 0.2500 0.1794  1 Hg 2.51

=====

# PuAs

A geometry-optimized PuAs structure (PBE-GGA, Materials Project).

a = 4.1463 Å, b = 4.1463 Å, c = 4.1463 Å
α = 60.00°, β = 60.00°, γ = 60.00°
Closest atoms and distances in Å follow each position.
Sites, in units of the cell vectors:
1 Pu 0.0000 0.0000 0.0000  6 As 2.93
2 As 0.5000 0.5000 0.5000  6 Pu 2.93

=====

# B2MoRu

A geometry-optimized B2MoRu structure (PBE-GGA, Materials Project).

The value obtained for the total magnetic moment is 0.00 μB per cell.

a = 2.9730 Å, b = 4.5702 Å, c = 6.0136 Å
α = 90.00°, β = 90.00°, γ = 90.00°
Closest atoms and distances in Å follow each position.
Sites, in units of the cell vectors:
1 B 0.0000 0.6342 0.5300  2 B 1.78
2 B 0.0000 0.3658 0.0300  2 B 1.78
3 B 0.5000 0.8345 0.4725  2 B 1.78
4 B 0.5000 0.1655 0.9725  2 B 1.78
5 Mo 0.0000 0.1206 0.6798  7 B 2.31-2.51
6 Mo 0.0000 0.8794 0.1798  7 B 2.31-2.51
7 Ru 0.5000 0.3733 0.3178  6 B 2.28-2.30
8 Ru 0.5000 0.6267 0.8178  6 B 2.28-2.30

=====

Number 1: calculated formation energy -963 meV/atom. Number 2: calculated formation energy 253 meV/atom. Number 3: calculated formation energy -1061 meV/atom. Number 4: calculated formation energy -299 meV/atom.